{
  "formula": "La3Nd3Al22",
  "functional": "PBE-GGA",
  "state": "relaxed",
  "lattice": [[2.202, 8.239, 0.000], [-2.202, 8.239, 0.000], [0.000, 4.322, 15.991]],
  "species": ["Al", "Al", "Al", "Al", "Al", "Al", "Al", "Al", "Al", "Al", "Al", "Al", "Al", "Al", "Al", "Al", "Al", "Al", "Al", "Al", "Al", "Al", "La", "La", "La", "Nd", "Nd", "Nd"],
  "fractional_positions": [[0.858, 0.858, 0.641], [0.568, 0.568, 0.295], [0.852, 0.852, 0.482], [0.648, 0.648, 0.017], [0.148, 0.148, 0.517], [0.142, 0.142, 0.359], [0.295, 0.295, 0.568], [0.068, 0.068, 0.795], [0.518, 0.518, 0.148], [0.359, 0.359, 0.142], [0.795, 0.795, 0.068], [0.982, 0.982, 0.352], [0.205, 0.205, 0.932], [0.483, 0.483, 0.852], [0.432, 0.432, 0.705], [0.642, 0.642, 0.859], [0.931, 0.931, 0.205], [0.352, 0.352, 0.983], [0.705, 0.705, 0.432], [0.750, 0.750, 0.250], [0.017, 0.017, 0.648], [0.250, 0.250, 0.750], [0.158, 0.158, 0.158], [0.842, 0.842, 0.841], [0.658, 0.658, 0.658], [0.500, 0.500, 0.499], [0.000, 0.000, 0.000], [0.341, 0.341, 0.341]],
  "crystal_system": "monoclinic",
  "formation_enthalpy_0k_ev_per_atom": -0.390,
  "total_energy_ev_per_fu": -122.42
}